{
  "formula": "Ca2TaNb2O8",
  "functional": "PBE-GGA",
  "state": "optimized geometry",
  "cell": [[-4.006, 3.593, 0.399], [-4.076, -4.698, -1.705], [0.944, -0.903, 9.882]],
  "species": ["O", "O", "O", "O", "O", "O", "O", "O", "O", "O", "O", "O", "O", "O", "O", "O", "Ca", "Ca", "Ca", "Ca", "Nb", "Nb", "Nb", "Nb", "Ta", "Ta"],
  "fractional_positions": [[0.543, 0.738, 0.624], [0.911, 0.775, 0.865], [0.172, 0.474, 0.627], [0.828, 0.526, 0.373], [0.916, 0.329, 0.898], [0.957, 0.104, 0.352], [0.084, 0.671, 0.102], [0.655, 0.145, 0.635], [0.457, 0.262, 0.376], [0.414, 0.553, 0.890], [0.586, 0.447, 0.110], [0.615, 0.903, 0.112], [0.043, 0.896, 0.648], [0.345, 0.855, 0.365], [0.385, 0.097, 0.888], [0.089, 0.225, 0.135], [0.235, 0.549, 0.414], [0.765, 0.451, 0.586], [0.746, 0.869, 0.437], [0.254, 0.131, 0.563], [0.287, 0.002, 0.221], [0.276, 0.759, 0.762], [0.724, 0.241, 0.238], [0.713, 0.998, 0.779], [0.757, 0.647, 0.003], [0.243, 0.353, 0.997]],
  "dft_energy_ev_per_cell": -219.4
}

{
  "formula": "BaLiYCu2O5",
  "functional": "PBE-GGA",
  "state": "optimized geometry",
  "cell": [[4.009, 0.078, -0.005], [0.078, 4.010, -0.005], [-0.010, -0.009, 7.890]],
  "species": ["Y", "O", "O", "O", "O", "O", "Ba", "Cu", "Cu", "Li"],
  "fractional_positions": [[0.929, 0.929, 0.466], [0.488, 0.010, 0.643], [0.507, 0.507, 0.965], [0.010, 0.488, 0.288], [0.010, 0.488, 0.643], [0.488, 0.010, 0.288], [0.031, 0.031, 0.966], [0.520, 0.520, 0.215], [0.520, 0.520, 0.716], [0.346, 0.346, 0.465]],
  "relative_energy_mev_per_atom": 99
}

{
  "formula": "Zn2O3F",
  "functional": "PBE-GGA",
  "state": "optimized geometry",
  "cell": [[-0.702, -0.271, -3.019], [-2.271, -3.930, 0.880], [-8.662, 5.348, 1.533]],
  "species": ["F", "F", "Zn", "Zn", "Zn", "Zn", "O", "O", "O", "O", "O", "O"],
  "fractional_positions": [[0.500, 0.541, 0.294], [0.500, 0.459, 0.794], [0.500, 0.818, 0.136], [0.500, 0.182, 0.636], [0.000, 0.732, 0.858], [0.000, 0.268, 0.358], [0.000, 0.405, 0.546], [0.500, 0.052, 0.444], [0.000, 0.051, 0.197], [0.000, 0.949, 0.697], [0.500, 0.948, 0.944], [0.000, 0.595, 0.046]],
  "dft_energy_ev_per_cell": -47.7
}

{
  "formula": "YNp3",
  "functional": "PBE-GGA",
  "state": "optimized geometry",
  "cell": [[4.670, 0.000, 0.000], [0.000, 4.670, 0.000], [0.000, 0.000, 4.670]],
  "species": ["Np", "Np", "Np", "Y"],
  "fractional_positions": [[0.000, 0.500, 0.500], [0.500, 0.500, 0.000], [0.500, 0.000, 0.500], [0.000, 0.000, 0.000]],
  "relative_energy_mev_per_atom": 19
}

{
  "formula": "RbSb3",
  "functional": "PBE-GGA",
  "state": "optimized geometry",
  "cell": [[-4.121, 2.207, -3.290], [-0.747, -0.369, 5.655], [3.968, 9.071, 1.116]],
  "species": ["Sb", "Sb", "Sb", "Sb", "Sb", "Sb", "Rb", "Rb"],
  "fractional_positions": [[0.667, 0.333, 0.104], [0.333, 0.667, 0.604], [0.333, 0.667, 0.896], [0.667, 0.333, 0.396], [0.000, 0.000, 0.250], [0.000, 0.000, 0.750], [0.667, 0.333, 0.750], [0.333, 0.667, 0.250]],
  "dft_energy_ev_per_cell": -23.8
}

{
  "formula": "HfMo",
  "functional": "PBE-GGA",
  "state": "optimized geometry",
  "cell": [[1.096, 1.871, -2.050], [-1.792, -2.055, -1.214], [-3.489, 2.692, 0.593]],
  "species": ["Mo", "Hf"],
  "fractional_positions": [[0.500, 0.500, 0.500], [0.000, 0.000, 0.000]],
  "dft_energy_ev_per_cell": -20.7
}

{
  "formula": "FeTe2",
  "functional": "PBE-GGA",
  "state": "optimized geometry",
  "cell": [[-1.611, 0.902, -3.263], [-2.102, -1.221, 2.854], [-0.676, 5.497, 1.853]],
  "species": ["Fe", "Te", "Te"],
  "fractional_positions": [[0.000, 0.000, 0.500], [0.333, 0.667, 0.255], [0.667, 0.333, 0.745]],
  "dft_energy_ev_per_cell": -14.9
}

{
  "formula": "K2H6PbO6",
  "functional": "PBE-GGA",
  "state": "optimized geometry",
  "cell": [[4.824, -3.360, 0.000], [4.824, 3.360, 0.000], [2.484, 0.000, 5.328]],
  "species": ["H", "H", "H", "H", "H", "H", "K", "K", "O", "O", "O", "O", "O", "O", "Pb"],
  "fractional_positions": [[0.743, 0.202, 0.647], [0.257, 0.798, 0.353], [0.202, 0.647, 0.743], [0.353, 0.257, 0.798], [0.647, 0.743, 0.202], [0.798, 0.353, 0.257], [0.714, 0.714, 0.714], [0.286, 0.286, 0.286], [0.824, 0.683, 0.211], [0.317, 0.789, 0.176], [0.683, 0.211, 0.824], [0.176, 0.317, 0.789], [0.789, 0.176, 0.317], [0.211, 0.824, 0.683], [0.000, 0.000, 0.000]],
  "dft_energy_ev_per_cell": -73.7
}

For each record above, in turn, the calculated magnetization values are 0.001 0.000 3.003 12.486 0.300 0.000 1.356 0.000 μB/f.u..